# Sr2PrBiO6 | the Materials Project database | PBE | relaxed
# MP2020-corrected energy: -6.899 eV/atom
# Magnetic moment: 0.00 Bohr magnetons per cell
# ΔE_f: -2.72 eV per atom
data_Sr2PrBiO6
_chemical_formula_sum 'Sr8 Pr4 Bi4 O24'
_cell_length_a 8.716
_cell_length_b 8.716
_cell_length_c 8.716
_cell_angle_alpha 90.00
_cell_angle_beta 90.00
_cell_angle_gamma 90.00
_space_group_name_H-M_alt 'P 1'
_space_group_IT_number 1
loop_
_space_group_symop_operation_xyz
'x,y,z'
loop_
_atom_site_label
_atom_site_fract_x
_atom_site_fract_y
_atom_site_fract_z
_atom_site_occupancy
Sr1 0.250 0.250 0.250 1
Sr2 0.250 0.250 0.750 1
Sr3 0.250 0.750 0.250 1
Sr4 0.250 0.750 0.750 1
Sr5 0.750 0.250 0.250 1
Sr6 0.750 0.250 0.750 1
Sr7 0.750 0.750 0.250 1
Sr8 0.750 0.750 0.750 1
Pr1 0.000 0.000 0.000 1
Pr2 0.000 0.500 0.500 1
Pr3 0.500 0.000 0.500 1
Pr4 0.500 0.500 0.000 1
Bi1 0.000 0.000 0.500 1
Bi2 0.000 0.500 0.000 1
Bi3 0.500 0.000 0.000 1
Bi4 0.500 0.500 0.500 1
O1 0.039 0.551 0.762 1
O2 0.039 0.949 0.738 1
O3 0.051 0.238 0.539 1
O4 0.051 0.262 0.961 1
O5 0.238 0.539 0.051 1
O6 0.238 0.961 0.449 1
O7 0.262 0.539 0.449 1
O8 0.262 0.961 0.051 1
O9 0.449 0.238 0.961 1
O10 0.449 0.262 0.539 1
O11 0.461 0.551 0.738 1
O12 0.461 0.949 0.762 1
O13 0.539 0.051 0.238 1
O14 0.539 0.449 0.262 1
O15 0.551 0.738 0.461 1
O16 0.551 0.762 0.039 1
O17 0.738 0.039 0.949 1
O18 0.738 0.461 0.551 1
O19 0.762 0.039 0.551 1
O20 0.762 0.461 0.949 1
O21 0.949 0.738 0.039 1
O22 0.949 0.762 0.461 1
O23 0.961 0.051 0.262 1
O24 0.961 0.449 0.238 1


# Nd2P2H8S4O15 | the Materials Project database | PBE | relaxed
# MP2020-corrected energy: -5.967 eV/atom
# Magnetic moment: 4.00 Bohr magnetons per cell
# ΔE_f: -1.51 eV per atom
data_Nd2P2H8S4O15
_chemical_formula_sum 'Nd4 P4 H16 S8 O30'
_cell_length_a 7.176
_cell_length_b 16.746
_cell_length_c 8.390
_cell_angle_alpha 90.00
_cell_angle_beta 93.77
_cell_angle_gamma 90.00
_space_group_name_H-M_alt 'P 1'
_space_group_IT_number 1
loop_
_space_group_symop_operation_xyz
'x,y,z'
loop_
_atom_site_label
_atom_site_fract_x
_atom_site_fract_y
_atom_site_fract_z
_atom_site_occupancy
Nd1 0.006 0.000 0.228 1
Nd2 0.494 0.359 0.717 1
Nd3 0.506 0.859 0.283 1
Nd4 0.994 0.500 0.772 1
P1 0.006 0.337 0.595 1
P2 0.482 0.042 0.103 1
P3 0.518 0.542 0.897 1
P4 0.994 0.837 0.405 1
H1 0.019 0.410 0.115 1
H2 0.084 0.986 0.596 1
H3 0.106 0.355 0.976 1
H4 0.124 0.079 0.550 1
H5 0.244 0.846 0.981 1
H6 0.388 0.511 0.513 1
H7 0.399 0.782 0.946 1
H8 0.411 0.446 0.387 1
H9 0.589 0.946 0.613 1
H10 0.601 0.282 0.054 1
H11 0.612 0.011 0.487 1
H12 0.756 0.346 0.019 1
H13 0.876 0.579 0.450 1
H14 0.894 0.855 0.024 1
H15 0.916 0.486 0.404 1
H16 0.981 0.910 0.885 1
S1 0.027 0.825 0.653 1
S2 0.103 0.236 0.733 1
S3 0.422 0.107 0.900 1
S4 0.435 0.162 0.139 1
S5 0.565 0.662 0.861 1
S6 0.578 0.607 0.100 1
S7 0.897 0.736 0.267 1
S8 0.973 0.325 0.347 1
O1 0.007 0.918 0.706 1
O2 0.014 0.397 0.994 1
O3 0.014 0.621 0.944 1
O4 0.096 0.631 0.687 1
O5 0.101 0.667 0.837 1
O6 0.110 0.025 0.507 1
O7 0.166 0.399 0.633 1
O8 0.171 0.875 0.339 1
O9 0.260 0.282 0.848 1
O10 0.328 0.988 0.161 1
O11 0.331 0.502 0.863 1
O12 0.377 0.832 0.002 1
O13 0.424 0.729 0.356 1
O14 0.466 0.258 0.519 1
O15 0.470 0.467 0.486 1
O16 0.530 0.967 0.514 1
O17 0.534 0.758 0.481 1
O18 0.576 0.229 0.644 1
O19 0.623 0.332 0.998 1
O20 0.669 0.002 0.137 1
O21 0.672 0.488 0.839 1
O22 0.740 0.782 0.152 1
O23 0.829 0.375 0.661 1
O24 0.834 0.899 0.367 1
O25 0.890 0.525 0.493 1
O26 0.899 0.167 0.163 1
O27 0.904 0.131 0.313 1
O28 0.986 0.121 0.056 1
O29 0.986 0.897 0.006 1
O30 0.993 0.418 0.294 1


# KP2Ru2 | the Materials Project database | PBE | relaxed
# ΔE_f: -0.63 eV per atom
data_KP2Ru2
_chemical_formula_sum 'K2 P4 Ru4'
_cell_length_a 4.056
_cell_length_b 4.056
_cell_length_c 12.691
_cell_angle_alpha 90.00
_cell_angle_beta 90.00
_cell_angle_gamma 90.00
_space_group_name_H-M_alt 'P 1'
_space_group_IT_number 1
loop_
_space_group_symop_operation_xyz
'x,y,z'
loop_
_atom_site_label
_atom_site_fract_x
_atom_site_fract_y
_atom_site_fract_z
_atom_site_occupancy
K1 0.000 0.000 0.000 1
K2 0.500 0.500 0.500 1
P1 0.000 0.000 0.337 1
P2 0.000 0.000 0.663 1
P3 0.500 0.500 0.163 1
P4 0.500 0.500 0.837 1
Ru1 0.000 0.500 0.250 1
Ru2 0.000 0.500 0.750 1
Ru3 0.500 0.000 0.250 1
Ru4 0.500 0.000 0.750 1


Q: Which formula does entry 3 have?
A: KP2Ru2